[1]
# GGA+U AlTlFe2F2, relaxed
# Polymorph energy (0 for the lowest one) in meV/atom: 226
# Calculated volume in Å³/cell: 522.8
# Magnetization in μB per formula unit: 6.01
data_AlTlFe2F2
_chemical_formula_sum 'Al4 Tl4 Fe8 F8'
_space_group_name_H-M_alt 'I 4/m c m'
_space_group_IT_number 140
_space_group_name_Hall '-I 4 2c'
_cell_length_a 6.5420
_cell_length_b 6.5420
_cell_length_c 12.2162
_cell_angle_alpha 90.00
_cell_angle_beta 90.00
_cell_angle_gamma 90.00
loop_
_atom_site_label
_atom_site_type_symbol
_atom_site_fract_x
_atom_site_fract_y
_atom_site_fract_z
Al1 Al 0.0000 0.0000 0.0000
Tl1 Tl 0.0000 0.5000 0.2500
Fe1 Fe 0.1428 0.3572 0.0000
F1 F 0.0000 0.0000 0.1444

[2]
# GGA+U KMgMn2AlGe3O10F2, relaxed
# Calculated volume in Å³/cell: 282.0
# Energy in eV/atom: -6.6194
# Magnetization in μB per formula unit: 0.00
data_KMgMn2AlGe3O10F2
_chemical_formula_sum 'K1 Mg1 Mn2 Al1 Ge3 O10 F2'
_space_group_name_H-M_alt 'P 1'
_space_group_IT_number 1
_cell_length_a 5.5556
_cell_length_b 5.5597
_cell_length_c 10.7018
_cell_angle_alpha 95.29
_cell_angle_beta 95.05
_cell_angle_gamma 119.88
loop_
_space_group_symop_operation_xyz
'x,y,z'
loop_
_atom_site_label
_atom_site_type_symbol
_atom_site_fract_x
_atom_site_fract_y
_atom_site_fract_z
K1 K 0.0000 0.0000 0.0000
Mg1 Mg 0.1828 0.8376 0.5309
Mn1 Mn 0.5056 0.5038 0.5352
Mn2 Mn 0.8510 0.1847 0.5352
Al1 Al 0.2678 0.6020 0.8010
Ge1 Ge 0.4178 0.7522 0.2519
Ge2 Ge 0.5997 0.2636 0.8057
Ge3 Ge 0.7542 0.4204 0.2515
O1 O 0.0621 0.6221 0.1823
O2 O 0.2140 0.5551 0.6315
O3 O 0.3857 0.9542 0.8655
O4 O 0.4679 0.8053 0.4183
O5 O 0.4995 0.4990 0.1855
O6 O 0.5268 0.5256 0.8587
O7 O 0.5345 0.1951 0.6338
O8 O 0.6275 0.0627 0.1864
O9 O 0.8165 0.4814 0.4178
O10 O 0.9542 0.3785 0.8581
F1 F 0.1424 0.1122 0.4258
F2 F 0.8974 0.8719 0.6242